# 1
The following is a DFT calculation (GGA+U) of crystalline CoSbC3O3 at its relaxed geometry.

Formation enthalpy at 0 K, meV/atom: -691
SG: I4_1/amd

a b c (Å): 12.003 12.003 12.003
angles (deg): 101.86 101.86 126.09
Element x y z (fractional)
Co 0.238 0.348 0.610
Co 0.238 0.627 0.890
Co 0.348 0.238 0.110
Co 0.373 0.762 0.610
Co 0.627 0.238 0.390
Co 0.652 0.762 0.890
Co 0.762 0.373 0.110
Co 0.762 0.652 0.390
Sb 0.165 0.521 0.645
Sb 0.376 0.521 0.855
Sb 0.479 0.624 0.645
Sb 0.479 0.835 0.855
Sb 0.521 0.165 0.145
Sb 0.521 0.376 0.355
Sb 0.624 0.479 0.145
Sb 0.835 0.479 0.355
C 0.077 0.203 0.626
C 0.077 0.451 0.874
C 0.168 0.295 0.448
C 0.168 0.721 0.873
C 0.203 0.077 0.126
C 0.279 0.653 0.448
C 0.279 0.832 0.627
C 0.295 0.168 0.948
C 0.295 0.347 0.127
C 0.347 0.295 0.627
C 0.347 0.721 0.052
C 0.451 0.077 0.374
C 0.549 0.923 0.626
C 0.653 0.279 0.948
C 0.653 0.705 0.373
C 0.705 0.653 0.873
C 0.705 0.832 0.052
C 0.721 0.168 0.373
C 0.721 0.347 0.552
C 0.797 0.923 0.874
C 0.832 0.279 0.127
C 0.832 0.705 0.552
C 0.923 0.549 0.126
C 0.923 0.797 0.374
O 0.030 0.658 0.128
O 0.030 0.902 0.372
O 0.098 0.970 0.128
O 0.122 0.250 0.339
O 0.122 0.783 0.872
O 0.217 0.589 0.339
O 0.217 0.878 0.628
O 0.250 0.122 0.839
O 0.250 0.411 0.128
O 0.342 0.970 0.372
O 0.411 0.250 0.628
O 0.411 0.783 0.161
O 0.589 0.217 0.839
O 0.589 0.750 0.372
O 0.658 0.030 0.628
O 0.750 0.589 0.872
O 0.750 0.878 0.161
O 0.783 0.122 0.372
O 0.783 0.411 0.661
O 0.878 0.217 0.128
O 0.878 0.750 0.661
O 0.902 0.030 0.872
O 0.970 0.098 0.628
O 0.970 0.342 0.872

# 2
The following is a DFT calculation (GGA+U) of crystalline K3V2O12 at its relaxed geometry.

Formation enthalpy at 0 K, meV/atom: -1205
SG: P2_1/c

a b c (Å): 6.862 10.067 15.863
angles (deg): 90.00 93.01 90.00
Element x y z (fractional)
K 0.198 0.058 0.182
K 0.198 0.442 0.682
K 0.265 0.591 0.124
K 0.265 0.909 0.624
K 0.273 0.719 0.875
K 0.273 0.781 0.375
K 0.727 0.219 0.625
K 0.727 0.281 0.125
K 0.735 0.091 0.376
K 0.735 0.409 0.876
K 0.802 0.558 0.318
K 0.802 0.942 0.818
V 0.256 0.194 0.457
V 0.256 0.306 0.957
V 0.262 0.119 0.813
V 0.262 0.381 0.313
V 0.738 0.619 0.687
V 0.738 0.881 0.187
V 0.744 0.694 0.043
V 0.744 0.806 0.543
O 0.010 0.181 0.851
O 0.010 0.319 0.351
O 0.016 0.156 0.513
O 0.016 0.344 0.013
O 0.028 0.195 0.761
O 0.028 0.305 0.261
O 0.077 0.215 0.034
O 0.077 0.285 0.534
O 0.179 0.054 0.380
O 0.179 0.446 0.880
O 0.234 0.543 0.298
O 0.234 0.957 0.798
O 0.265 0.576 0.526
O 0.265 0.924 0.026
O 0.328 0.137 0.345
O 0.328 0.363 0.845
O 0.352 0.139 0.927
O 0.352 0.361 0.427
O 0.390 0.177 0.713
O 0.390 0.323 0.213
O 0.427 0.132 0.523
O 0.427 0.368 0.023
O 0.469 0.654 0.719
O 0.469 0.846 0.219
O 0.531 0.154 0.781
O 0.531 0.346 0.281
O 0.573 0.632 0.977
O 0.573 0.868 0.477
O 0.610 0.677 0.787
O 0.610 0.823 0.287
O 0.648 0.639 0.573
O 0.648 0.861 0.073
O 0.672 0.637 0.155
O 0.672 0.863 0.655
O 0.735 0.076 0.974
O 0.735 0.424 0.474
O 0.766 0.043 0.202
O 0.766 0.457 0.702
O 0.821 0.554 0.120
O 0.821 0.946 0.620
O 0.923 0.715 0.466
O 0.923 0.785 0.966
O 0.972 0.695 0.739
O 0.972 0.805 0.239
O 0.984 0.656 0.987
O 0.984 0.844 0.487
O 0.990 0.681 0.649
O 0.990 0.819 0.149

# 3
The following is a DFT calculation (GGA+U) of crystalline LiNbWO6 at its relaxed geometry.

Maximum piezoelectric response, C/m²: 2.36
Energy relative to the lowest polymorph listed for this composition, meV per atom: 10
Formation enthalpy at 0 K, meV/atom: -2561
SG: P-42_1m

a b c (Å): 4.775 4.775 9.430
angles (deg): 90.00 90.00 90.00
Element x y z (fractional)
Li 0.000 0.500 0.075
Li 0.500 0.000 0.925
Nb 0.000 0.500 0.408
Nb 0.500 0.000 0.592
W 0.000 0.500 0.766
W 0.500 0.000 0.234
O 0.195 0.695 0.580
O 0.200 0.700 0.891
O 0.212 0.712 0.273
O 0.288 0.212 0.727
O 0.300 0.200 0.109
O 0.305 0.195 0.420
O 0.695 0.805 0.420
O 0.700 0.800 0.109
O 0.712 0.788 0.727
O 0.788 0.288 0.273
O 0.800 0.300 0.891
O 0.805 0.305 0.580

# 4
The following is a DFT calculation (GGA+U) of crystalline LiV2F5 at its relaxed geometry.

Energy relative to the lowest polymorph listed for this composition, meV per atom: 0
Formation enthalpy at 0 K, meV/atom: -2976
SG: Cmcm

a b c (Å): 5.524 5.524 10.407
angles (deg): 90.00 90.00 135.43
Element x y z (fractional)
Li 0.181 0.819 0.750
Li 0.819 0.181 0.250
V 0.143 0.857 0.064
V 0.143 0.857 0.436
V 0.857 0.143 0.564
V 0.857 0.143 0.936
F 0.054 0.946 0.618
F 0.054 0.946 0.882
F 0.234 0.766 0.250
F 0.322 0.678 0.556
F 0.322 0.678 0.944
F 0.678 0.322 0.056
F 0.678 0.322 0.444
F 0.766 0.234 0.750
F 0.946 0.054 0.118
F 0.946 0.054 0.382

# 5
The following is a DFT calculation (GGA+U) of crystalline ZnCu4W5O20 at its relaxed geometry.

Formation enthalpy at 0 K, meV/atom: -1767
SG: P1

a b c (Å): 4.751 7.578 19.524
angles (deg): 91.25 96.32 92.55
Element x y z (fractional)
Zn 0.000 0.000 0.000
Zn 0.003 0.599 0.200
Cu 0.983 0.407 0.807
Cu 0.985 0.807 0.607
Cu 0.987 0.207 0.408
Cu 0.990 0.396 0.969
Cu 0.992 0.997 0.169
Cu 0.993 0.194 0.568
Cu 0.994 0.594 0.368
Cu 0.994 0.795 0.768
W 0.479 0.104 0.871
W 0.482 0.702 0.072
W 0.482 0.902 0.471
W 0.483 0.503 0.671
W 0.486 0.301 0.272
W 0.490 0.697 0.906
W 0.495 0.099 0.705
W 0.495 0.295 0.106
W 0.496 0.499 0.505
W 0.500 0.898 0.305
O 0.218 0.636 0.830
O 0.222 0.034 0.630
O 0.222 0.434 0.430
O 0.223 0.241 0.031
O 0.225 0.839 0.231
O 0.236 0.283 0.872
O 0.238 0.081 0.472
O 0.239 0.682 0.672
O 0.242 0.881 0.075
O 0.247 0.480 0.275
O 0.266 0.600 0.978
O 0.266 0.938 0.920
O 0.269 0.536 0.121
O 0.270 0.200 0.178
O 0.271 0.001 0.778
O 0.272 0.401 0.578
O 0.275 0.733 0.518
O 0.275 0.800 0.378
O 0.276 0.333 0.717
O 0.277 0.132 0.318
O 0.696 0.870 0.861
O 0.700 0.470 0.061
O 0.700 0.796 0.998
O 0.704 0.200 0.798
O 0.704 0.395 0.198
O 0.704 0.668 0.459
O 0.705 0.268 0.659
O 0.707 0.601 0.598
O 0.708 0.999 0.398
O 0.709 0.068 0.259
O 0.737 0.521 0.903
O 0.739 0.320 0.504
O 0.740 0.921 0.704
O 0.743 0.119 0.100
O 0.745 0.718 0.301
O 0.752 0.175 0.944
O 0.755 0.774 0.144
O 0.756 0.967 0.546
O 0.757 0.568 0.746
O 0.761 0.366 0.347

# 6
The following is a DFT calculation (GGA+U) of crystalline MgSiNiO5 at its relaxed geometry.

Energy relative to the lowest polymorph listed for this composition, meV per atom: 33
Formation enthalpy at 0 K, meV/atom: -2111
SG: P1

a b c (Å): 5.258 5.291 6.853
angles (deg): 105.51 104.33 106.74
Element x y z (fractional)
Mg 0.000 0.000 0.000
Mg 0.322 0.651 0.499
Si 0.339 0.651 0.992
Si 0.988 0.004 0.492
Ni 0.664 0.328 0.242
Ni 0.664 0.328 0.742
O 0.008 0.227 0.366
O 0.029 0.596 0.818
O 0.298 0.061 0.667
O 0.320 0.426 0.117
O 0.388 0.966 0.159
O 0.572 0.415 0.492
O 0.576 0.673 0.873
O 0.750 0.982 0.610
O 0.756 0.241 0.992
O 0.941 0.689 0.327

# 7
The following is a DFT calculation (GGA+U) of crystalline MnTeMoO6 at its relaxed geometry.

Energy relative to the lowest polymorph listed for this composition, meV per atom: 0
Formation enthalpy at 0 K, meV/atom: -1868
SG: P2_12_12

a b c (Å): 5.181 5.405 9.355
angles (deg): 90.00 90.00 90.00
Element x y z (fractional)
Mn 0.000 0.000 0.027
Mn 0.500 0.500 0.973
Te 0.000 0.500 0.243
Te 0.500 0.000 0.757
Mo 0.000 0.500 0.694
Mo 0.500 0.000 0.306
O 0.160 0.294 0.582
O 0.213 0.672 0.109
O 0.245 0.184 0.206
O 0.255 0.684 0.794
O 0.287 0.172 0.891
O 0.340 0.794 0.418
O 0.660 0.206 0.418
O 0.713 0.828 0.891
O 0.745 0.316 0.794
O 0.755 0.816 0.206
O 0.787 0.328 0.109
O 0.840 0.706 0.582

# 8
The following is a DFT calculation (GGA+U) of crystalline MgP2WO7 at its relaxed geometry.

Energy relative to the lowest polymorph listed for this composition, meV per atom: 0
Formation enthalpy at 0 K, meV/atom: -2406
SG: P2_1/c

a b c (Å): 7.175 8.710 9.677
angles (deg): 90.00 105.72 90.00
Element x y z (fractional)
Mg 0.187 0.072 0.304
Mg 0.187 0.428 0.804
Mg 0.813 0.572 0.196
Mg 0.813 0.928 0.696
P 0.044 0.724 0.973
P 0.044 0.776 0.473
P 0.410 0.742 0.726
P 0.410 0.758 0.226
P 0.590 0.242 0.774
P 0.590 0.258 0.274
P 0.956 0.224 0.527
P 0.956 0.276 0.027
W 0.248 0.055 0.883
W 0.248 0.445 0.383
W 0.752 0.555 0.617
W 0.752 0.945 0.117
O 0.018 0.587 0.873
O 0.018 0.913 0.373
O 0.027 0.621 0.390
O 0.027 0.879 0.890
O 0.102 0.232 0.434
O 0.102 0.268 0.934
O 0.257 0.703 0.077
O 0.257 0.797 0.577
O 0.361 0.579 0.756
O 0.361 0.921 0.256
O 0.392 0.248 0.312
O 0.392 0.252 0.812
O 0.404 0.643 0.341
O 0.404 0.857 0.841
O 0.596 0.143 0.159
O 0.596 0.357 0.659
O 0.608 0.748 0.188
O 0.608 0.752 0.688
O 0.639 0.079 0.744
O 0.639 0.421 0.244
O 0.743 0.203 0.423
O 0.743 0.297 0.923
O 0.898 0.732 0.066
O 0.898 0.768 0.566
O 0.973 0.121 0.110
O 0.973 0.379 0.610
O 0.982 0.087 0.627
O 0.982 0.413 0.127

| no. | energy with MP2020 corrections (eV/f.u.) |
| --- | --- |
| 1 | -59.30 |
| 2 | -101.36 |
| 3 | -77.70 |
| 4 | -53.46 |
| 5 | -234.43 |
| 6 | -54.44 |
| 7 | -69.65 |
| 8 | -86.49 |